# 1
DFT (GGA-PBE) results for crystalline SbOF at its relaxed geometry.

Values from the calculation:
Energy of formation, eV per atom: -2.20
Total energy after the MP2020 corrections, eV per atom: -5.864
Calculated density, g cm⁻³: 4.872

a = 5.7516 Å, b = 11.7865 Å, c = 12.6105 Å
α = 90.00°, β = 90.00°, γ = 90.00°
Fractional positions:
F1 0.4909 0.2005 0.5926
F2 0.9909 0.7995 0.9074
O1 0.5807 0.0490 0.4194
F3 0.5082 0.5447 0.6856
Sb1 0.3034 0.3565 0.7951
O2 0.9193 0.0490 0.9194
Sb2 0.2061 0.6152 0.5100
Sb3 0.7939 0.8848 0.0100
O3 0.0807 0.4510 0.4194
Sb4 0.8034 0.1435 0.7951
Sb5 0.7061 0.8848 0.5100
Sb6 0.6966 0.1435 0.2951
O4 0.3845 0.7370 0.1260
F4 0.4918 0.9553 0.1856
F5 0.0091 0.2005 0.0926
Sb7 0.2939 0.6152 0.0100
F6 0.0091 0.7005 0.4074
Sb8 0.6966 0.6435 0.2049
Sb9 0.7061 0.3848 0.9900
F7 0.5091 0.2995 0.0926
O5 0.4193 0.9510 0.5806
F8 0.0082 0.4553 0.8144
F9 0.9918 0.0447 0.3144
F10 0.5082 0.0447 0.8144
Sb10 0.2061 0.1152 0.9900
Sb11 0.1966 0.8565 0.2049
O6 0.1155 0.2370 0.8740
F11 0.4918 0.4553 0.3144
O7 0.6155 0.2630 0.8740
O8 0.4193 0.4510 0.9194
Sb12 0.3034 0.8565 0.7049
O9 0.8845 0.7630 0.1260
O10 0.0807 0.9510 0.0806
O11 0.1155 0.7370 0.6260
Sb13 0.1966 0.3565 0.2951
F12 0.0082 0.9553 0.6856
F13 0.9918 0.5447 0.1856
O12 0.6155 0.7630 0.6260
Sb14 0.8034 0.6435 0.7049
F14 0.9909 0.2995 0.5926
O13 0.3845 0.2370 0.3740
Sb15 0.2939 0.1152 0.4900
O14 0.8845 0.2630 0.3740
O15 0.9193 0.5490 0.5806
F15 0.4909 0.7005 0.9074
Sb16 0.7939 0.3848 0.4900
O16 0.5807 0.5490 0.0806
F16 0.5091 0.7995 0.4074



# 2
DFT (GGA-PBE) results for crystalline SbOF at its relaxed geometry.

Values from the calculation:
Energy of formation, eV per atom: -2.18
Total energy after the MP2020 corrections, eV per atom: -5.842
Calculated density, g cm⁻³: 4.538
M_tot, μB per cell: 0.0

a = 10.7765 Å, b = 7.0600 Å, c = 9.3751 Å
α = 74.81°, β = 90.00°, γ = 90.00°
Fractional positions:
Sb1 0.4722 0.7467 0.9021
F1 0.6555 0.8745 0.1632
Sb2 0.5278 0.2533 0.0979
Sb3 0.2194 0.9737 0.0448
F2 0.4003 0.9266 0.3992
F3 0.9003 0.0734 0.1008
O1 0.3592 0.7536 0.7111
Sb4 0.7194 0.0263 0.4552
O2 0.3280 0.7503 0.0327
Sb5 0.3327 0.4547 0.7201
F4 0.0997 0.9266 0.8992
Sb6 0.7806 0.0263 0.9552
F5 0.6786 0.5713 0.6638
O3 0.4396 0.4606 0.8980
O4 0.1408 0.7536 0.2111
F6 0.8445 0.8745 0.6632
Sb7 0.6673 0.5453 0.2799
Sb8 0.9722 0.2533 0.5979
O5 0.6408 0.2464 0.2889
F7 0.8214 0.5713 0.1638
F8 0.1555 0.1255 0.3368
O6 0.6720 0.2497 0.9673
Sb9 0.1673 0.4547 0.2201
O7 0.8592 0.2464 0.7889
F9 0.3214 0.4287 0.3362
O8 0.8280 0.2497 0.4673
O9 0.0604 0.4606 0.3980
O10 0.5604 0.5394 0.1020
F10 0.3445 0.1255 0.8368
F11 0.5997 0.0734 0.6008
Sb10 0.8327 0.5453 0.7799
F12 0.1786 0.4287 0.8362
Sb11 0.2806 0.9737 0.5448
Sb12 0.0278 0.7467 0.4021
O11 0.9396 0.5394 0.6020
O12 0.1720 0.7503 0.5327



# 3
DFT (GGA-PBE) results for crystalline Sb5O7F at its relaxed geometry.

Values from the calculation:
Energy of formation, eV per atom: -1.78
Total energy after the MP2020 corrections, eV per atom: -6.175
Calculated density, g cm⁻³: 4.824
M_tot, μB per cell: 0.0

a = 10.0507 Å, b = 10.0507 Å, c = 13.8763 Å
α = 64.32°, β = 64.32°, γ = 23.91°
Fractional positions:
F1 0.1141 0.1141 0.0216
O1 0.6950 0.6950 0.8732
Sb1 0.8877 0.8877 0.5601
O2 0.7801 0.7801 0.5873
O3 0.1398 0.1398 0.8239
F2 0.8859 0.8859 0.9784
O4 0.9366 0.9366 0.3926
O5 0.6073 0.6073 0.4969
Sb2 0.2236 0.2236 0.8901
Sb3 0.7726 0.7726 0.3557
O6 0.2910 0.2910 0.7230
Sb4 0.5389 0.5389 0.6577
Sb5 0.4611 0.4611 0.3423
O7 0.8602 0.8602 0.1761
Sb6 0.2274 0.2274 0.6443
O8 0.3927 0.3927 0.5031
O9 0.3809 0.3809 0.2890
O10 0.6191 0.6191 0.7110
Sb7 0.7764 0.7764 0.1099
Sb8 0.5941 0.5941 0.8710
Sb9 0.4059 0.4059 0.1290
O11 0.3050 0.3050 0.1268
O12 0.7090 0.7090 0.2770
Sb10 0.1123 0.1123 0.4399
O13 0.0634 0.0634 0.6074
O14 0.2199 0.2199 0.4127



# 4
DFT (GGA-PBE) results for crystalline SbOF3 at its relaxed geometry.

Values from the calculation:
Energy of formation, eV per atom: -2.30
Total energy after the MP2020 corrections, eV per atom: -5.259
Calculated density, g cm⁻³: 4.548
M_tot, μB per cell: 0.0

a = 5.3188 Å, b = 5.3188 Å, c = 5.3188 Å
α = 138.07°, β = 134.22°, γ = 63.81°
Fractional positions:
Sb1 0.0000 0.0000 0.0000
F1 0.7907 0.7907 0.0000
F2 0.5000 0.0000 0.5000
O1 0.0000 0.5000 0.5000
F3 0.2093 0.2093 0.0000